This record from Materials Project describes a geometry-optimized LiDy2Rh structure. The functional is meta-GGA r2SCAN.

Cell lengths 4.909, 4.909, 4.909 Å; angles 60.00, 60.00, 60.00 degrees
Positions (direct):
Dy1 0.250 0.250 0.250
Rh1 0.000 0.000 0.000
Dy2 0.750 0.750 0.750
Li1 0.500 0.500 0.500

Summary:
- E_form: -522 meV/atom
- Magnetic moment: 0.00 μB/f.u.